# Sr2P6Rh7

Sr2P6Rh7 after structural relaxation (PBE-GGA, Materials Project).

Cell lengths 11.2055, 11.2055, 4.1467 Å; angles 90.00, 90.00, 90.00 degrees
Atoms (fractional coordinates):
Rh1 0.7761 0.0374 0.7556
P1 0.6109 0.3581 0.2765
Rh2 0.8475 0.6525 0.7364
P2 0.9274 0.5726 0.2346
P3 0.8891 0.8581 0.7235
P4 0.3891 0.6419 0.2765
Rh3 0.6525 0.1525 0.2636
P5 0.0726 0.4274 0.2346
Sr1 0.8385 0.3385 0.7513
Rh4 0.5000 0.5000 0.0000
Sr2 0.3385 0.1615 0.2487
P6 0.5726 0.0726 0.7654
Rh5 0.9626 0.7761 0.2444
Rh6 0.2239 0.9626 0.7556
P7 0.8581 0.1109 0.2765
P8 0.3581 0.3891 0.7235
Rh7 0.3475 0.8475 0.2636
P9 0.1109 0.1419 0.7235
Rh8 0.4626 0.7239 0.7556
Rh9 0.2761 0.4626 0.2444
P10 0.6419 0.6109 0.7235
Rh10 0.1525 0.3475 0.7364
Rh11 0.0000 0.0000 0.0000
Sr3 0.1615 0.6615 0.7513
Sr4 0.6615 0.8385 0.2487
P11 0.4274 0.9274 0.7654
Rh12 0.0374 0.2239 0.2444
P12 0.1419 0.8891 0.2765
Rh13 0.7239 0.5374 0.2444
Rh14 0.5374 0.2761 0.7556

Computed properties:
**V**: 17.4 Å³/atom
**Symmetry**: No. 113
**Energy**: -0.2468 hartree per atom
**ΔE_f**: -20.48 kcal/mol of atoms